[1]
A relaxed Zr4O crystal. Source: Materials Project, functional PBE.

Lattice parameters (Å, degrees): 10.948 10.948 10.948 29.96 29.96 29.96
Atoms (fractional coordinates):
Zr: 0.965 0.287 0.623
Zr: 0.793 0.123 0.461
Zr: 0.461 0.793 0.123
Zr: 0.207 0.877 0.539
Zr: 0.123 0.461 0.793
Zr: 0.377 0.035 0.713
Zr: 0.877 0.539 0.207
Zr: 0.287 0.623 0.965
Zr: 0.035 0.713 0.377
Zr: 0.539 0.207 0.877
Zr: 0.713 0.377 0.035
Zr: 0.623 0.965 0.287
O: 0.000 0.000 0.000
O: 0.250 0.250 0.250
O: 0.750 0.750 0.750

- Energy of formation: -1.241 eV per atom
- Final energy: -0.6564 Ry per atom

---

[2]
A relaxed CeBe13 crystal. Source: Materials Project, functional PBE.

Lattice parameters (Å, degrees): 7.259 7.259 7.259 60.00 60.00 60.00
Atoms (fractional coordinates):
Be: 0.938 0.290 0.062
Be: 0.062 0.938 0.290
Be: 0.500 0.500 0.500
Be: 0.000 0.000 0.000
Be: 0.438 0.210 0.562
Be: 0.562 0.438 0.210
Be: 0.710 0.062 0.290
Be: 0.210 0.790 0.562
Be: 0.710 0.938 0.062
Be: 0.290 0.710 0.062
Be: 0.562 0.210 0.790
Be: 0.938 0.710 0.290
Be: 0.438 0.562 0.790
Be: 0.062 0.710 0.938
Be: 0.790 0.210 0.438
Be: 0.290 0.062 0.938
Be: 0.790 0.562 0.210
Be: 0.210 0.438 0.790
Be: 0.710 0.290 0.938
Be: 0.562 0.790 0.438
Be: 0.790 0.438 0.562
Be: 0.062 0.290 0.710
Be: 0.438 0.790 0.210
Be: 0.938 0.062 0.710
Be: 0.210 0.562 0.438
Be: 0.290 0.938 0.710
Ce: 0.250 0.250 0.250
Ce: 0.750 0.750 0.750

- Energy of formation: -0.151 eV per atom
- Final energy: -0.2975 Ry per atom

---

[3]
A relaxed MnCu2Se2 crystal. Source: Materials Project, functional PBE.

Lattice parameters (Å, degrees): 8.078 8.078 8.078 60.00 60.00 60.00
Atoms (fractional coordinates):
Se: 0.874 0.874 0.874
Se: 0.378 0.874 0.874
Se: 0.874 0.874 0.378
Se: 0.874 0.378 0.874
Se: 0.891 0.370 0.370
Se: 0.370 0.891 0.370
Se: 0.370 0.370 0.891
Se: 0.370 0.370 0.370
Cu: 0.750 0.750 0.750
Cu: 0.257 0.743 0.743
Cu: 0.500 0.500 0.500
Cu: 0.743 0.257 0.743
Cu: 0.743 0.743 0.257
Cu: 0.743 0.257 0.257
Cu: 0.257 0.743 0.257
Cu: 0.257 0.257 0.743
Mn: 0.129 0.613 0.129
Mn: 0.129 0.129 0.613
Mn: 0.613 0.129 0.129
Mn: 0.129 0.129 0.129

- Energy of formation: -0.360 eV per atom
- Final energy: -0.3706 Ry per atom
- Magnetization: 5.0 μB per formula unit

---

[4]
A relaxed PaZn3 crystal. Source: Materials Project, functional PBE.

Lattice parameters (Å, degrees): 6.294 6.294 4.408 90.00 90.00 120.00
Atoms (fractional coordinates):
Zn: 0.150 0.850 0.250
Zn: 0.700 0.850 0.250
Zn: 0.300 0.150 0.750
Zn: 0.150 0.300 0.250
Zn: 0.850 0.150 0.750
Zn: 0.850 0.700 0.750
Pa: 0.333 0.667 0.750
Pa: 0.667 0.333 0.250

- Energy of formation: -0.044 eV per atom
- Final energy: -0.2475 Ry per atom